(1)
Entry from the Materials Project: a relaxed YCo3P2 crystal (meta-GGA r2SCAN).

Calculated values
The calculation puts the total energy at -13.893 eV/atom. The calculated volume comes out at 466.0 Å³ per cell. Its space group is Pmmn (59). For the formation energy, the calculation gives -515 kJ/mol of formula units. Its spin magnetization is 1.14 μB per formula unit.

abc: 3.689 10.425 12.117
angles: 90.00 90.00 90.00
Element x y z (fractional)
Co (0.500, 0.000, 0.013)
P (0.500, 0.500, 0.343)
Co (0.000, 0.380, 0.290)
Y (0.500, 0.000, 0.479)
P (0.000, 0.190, 0.385)
Y (0.500, 0.183, 0.206)
Co (0.000, 0.833, 0.005)
P (0.500, 0.690, 0.615)
Co (0.000, 0.000, 0.845)
P (0.000, 0.653, 0.106)
Co (0.500, 0.297, 0.431)
P (0.500, 0.153, 0.894)
Co (0.500, 0.703, 0.431)
Y (0.000, 0.683, 0.794)
Co (0.500, 0.120, 0.710)
Co (0.500, 0.333, 0.995)
Co (0.000, 0.167, 0.005)
Co (0.500, 0.667, 0.995)
P (0.000, 0.000, 0.118)
P (0.500, 0.847, 0.894)
P (0.000, 0.347, 0.106)
P (0.500, 0.310, 0.615)
Co (0.000, 0.000, 0.297)
Co (0.000, 0.500, 0.987)
Co (0.000, 0.620, 0.290)
P (0.000, 0.810, 0.385)
Co (0.000, 0.797, 0.569)
Co (0.500, 0.500, 0.703)
Co (0.500, 0.880, 0.710)
P (0.000, 0.000, 0.657)
Co (0.000, 0.203, 0.569)
Y (0.000, 0.317, 0.794)
Co (0.500, 0.500, 0.155)
Y (0.500, 0.817, 0.206)
Y (0.000, 0.500, 0.521)
P (0.500, 0.500, 0.882)

(2)
Entry from the Materials Project: a relaxed Zr5Co19P12 crystal (meta-GGA r2SCAN).

Calculated values
The calculation puts the total energy at -13.995 eV/atom. The calculated volume comes out at 428.6 Å³ per cell. Its space group is P-62m (189). For the formation energy, the calculation gives -2953 kJ/mol of formula units. Its spin magnetization is 12.13 μB per formula unit.

abc: 11.718 11.718 3.604
angles: 90.00 90.00 120.00
Element x y z (fractional)
P (0.314, 0.832, 0.000)
Co (0.378, 0.179, 0.500)
Co (0.821, 0.199, 0.500)
P (0.637, 0.000, 0.500)
Co (0.516, 0.874, 0.000)
Co (0.552, 0.552, 0.500)
Co (0.284, 0.000, 0.000)
Zr (0.667, 0.333, 0.500)
Co (0.622, 0.801, 0.500)
Co (0.000, 0.448, 0.500)
P (0.686, 0.518, 0.000)
Co (0.179, 0.378, 0.500)
Co (0.359, 0.484, 0.000)
P (0.168, 0.482, 0.000)
P (0.000, 0.637, 0.500)
Zr (0.816, 0.000, 0.000)
P (0.832, 0.314, 0.000)
Co (0.000, 0.284, 0.000)
P (0.178, 0.000, 0.500)
P (0.482, 0.168, 0.000)
Zr (0.333, 0.667, 0.500)
Co (0.199, 0.821, 0.500)
Co (0.641, 0.126, 0.000)
P (0.363, 0.363, 0.500)
Zr (0.184, 0.184, 0.000)
Co (0.000, 0.000, 0.500)
Co (0.874, 0.516, 0.000)
P (0.822, 0.822, 0.500)
Co (0.126, 0.641, 0.000)
P (0.518, 0.686, 0.000)
Co (0.716, 0.716, 0.000)
Co (0.801, 0.622, 0.500)
Zr (0.000, 0.816, 0.000)
Co (0.448, 0.000, 0.500)
Co (0.484, 0.359, 0.000)
P (0.000, 0.178, 0.500)

(3)
Entry from the Materials Project: a relaxed PaCo3 crystal (meta-GGA r2SCAN).

Calculated values
The calculation puts the total energy at -29.302 eV/atom. The calculated volume comes out at 54.2 Å³ per cell. Its space group is Pm-3m (221). For the formation energy, the calculation gives -63 kJ/mol of formula units. Its spin magnetization is 1.41 μB per formula unit.

abc: 3.784 3.783 3.783
angles: 90.00 90.00 90.00
Element x y z (fractional)
Co (0.500, 0.000, 0.500)
Co (0.500, 0.500, 0.000)
Pa (0.000, 0.000, 0.000)
Co (0.000, 0.500, 0.500)

(4)
Entry from the Materials Project: a relaxed Sm12Co6Pb crystal (meta-GGA r2SCAN).

Calculated values
The calculation puts the total energy at -26.062 eV/atom. The calculated volume comes out at 485.4 Å³ per cell. Its space group is Im-3 (204). For the formation energy, the calculation gives -260 kJ/mol of formula units. Its spin magnetization is 0.71 μB per formula unit.

abc: 8.575 8.575 8.575
angles: 109.47 109.47 109.47
Element x y z (fractional)
Sm (0.193, 0.695, 0.888)
Sm (0.305, 0.112, 0.807)
Co (0.610, 0.500, 0.110)
Pb (0.000, 0.000, 0.000)
Sm (0.807, 0.695, 0.502)
Sm (0.305, 0.498, 0.193)
Co (0.500, 0.890, 0.390)
Co (0.500, 0.110, 0.610)
Co (0.390, 0.500, 0.890)
Sm (0.807, 0.305, 0.112)
Sm (0.498, 0.193, 0.305)
Sm (0.193, 0.305, 0.498)
Co (0.890, 0.390, 0.500)
Sm (0.502, 0.807, 0.695)
Co (0.110, 0.610, 0.500)
Sm (0.888, 0.193, 0.695)
Sm (0.695, 0.502, 0.807)
Sm (0.695, 0.888, 0.193)
Sm (0.112, 0.807, 0.305)

(5)
Entry from the Materials Project: a relaxed CoPd3 crystal (meta-GGA r2SCAN).

Calculated values
The calculation puts the total energy at -20.527 eV/atom. The calculated volume comes out at 57.1 Å³ per cell. Its space group is Pm-3m (221). For the formation energy, the calculation gives 1 kJ/mol of formula units. Its spin magnetization is 3.10 μB per formula unit.

abc: 3.850 3.850 3.850
angles: 90.00 90.00 90.00
Element x y z (fractional)
Pd (0.000, 0.500, 0.500)
Pd (0.500, 0.000, 0.500)
Pd (0.500, 0.500, 0.000)
Co (0.000, 0.000, 0.000)

(6)
Entry from the Materials Project: a relaxed Pr5Co2 crystal (meta-GGA r2SCAN).

Calculated values
The calculation puts the total energy at -24.727 eV/atom. The calculated volume comes out at 389.5 Å³ per cell. Its space group is C2/c (15). For the formation energy, the calculation gives 38 kJ/mol of formula units. Its spin magnetization is 0.00 μB per formula unit.

abc: 6.597 7.060 9.019
angles: 94.65 111.45 90.00
Element x y z (fractional)
Pr (0.800, 0.590, 0.811)
Pr (0.355, 0.174, 0.575)
Co (0.175, 0.426, 0.779)
Pr (0.779, 0.326, 0.425)
Co (0.825, 0.574, 0.221)
Pr (0.200, 0.410, 0.189)
Pr (0.434, 0.750, 0.000)
Pr (0.645, 0.826, 0.425)
Pr (0.011, 0.090, 0.811)
Pr (0.221, 0.674, 0.575)
Co (0.604, 0.926, 0.779)
Pr (0.566, 0.250, 0.000)
Pr (0.989, 0.910, 0.189)
Co (0.396, 0.074, 0.221)

(7)
Entry from the Materials Project: a relaxed Pr3Co crystal (meta-GGA r2SCAN).

Calculated values
The calculation puts the total energy at -25.311 eV/atom. The calculated volume comes out at 465.0 Å³ per cell. Its space group is Pnma (62). For the formation energy, the calculation gives 19 kJ/mol of formula units. Its spin magnetization is 0.47 μB per formula unit.

abc: 7.084 9.985 6.575
angles: 89.97 90.00 90.01
Element x y z (fractional)
Pr (0.446, 0.750, 0.144)
Pr (0.161, 0.070, 0.178)
Pr (0.554, 0.250, 0.856)
Pr (0.054, 0.250, 0.644)
Co (0.886, 0.250, 0.053)
Co (0.614, 0.750, 0.553)
Pr (0.161, 0.430, 0.178)
Pr (0.661, 0.070, 0.322)
Pr (0.661, 0.430, 0.322)
Pr (0.839, 0.930, 0.822)
Pr (0.839, 0.570, 0.822)
Pr (0.946, 0.750, 0.356)
Co (0.115, 0.750, 0.947)
Pr (0.339, 0.570, 0.678)
Pr (0.339, 0.930, 0.678)
Co (0.386, 0.250, 0.447)

(8)
Entry from the Materials Project: a relaxed Pr5CoSb2 crystal (meta-GGA r2SCAN).

Calculated values
The calculation puts the total energy at -27.219 eV/atom. The calculated volume comes out at 961.4 Å³ per cell. Its space group is Pnma (62). For the formation energy, the calculation gives -587 kJ/mol of formula units. Its spin magnetization is 0.50 μB per formula unit.

abc: 8.237 9.234 12.641
angles: 90.00 90.00 90.00
Element x y z (fractional)
Pr (0.150, 0.250, 0.204)
Pr (0.183, 0.965, 0.937)
Sb (0.922, 0.493, 0.327)
Pr (0.877, 0.250, 0.803)
Pr (0.542, 0.750, 0.003)
Pr (0.350, 0.250, 0.704)
Sb (0.422, 0.993, 0.173)
Pr (0.650, 0.750, 0.296)
Pr (0.183, 0.535, 0.937)
Sb (0.422, 0.507, 0.173)
Pr (0.317, 0.535, 0.437)
Co (0.437, 0.250, 0.490)
Co (0.063, 0.250, 0.990)
Sb (0.078, 0.993, 0.673)
Pr (0.958, 0.750, 0.503)
Pr (0.683, 0.034, 0.563)
Pr (0.683, 0.466, 0.563)
Sb (0.922, 0.007, 0.327)
Sb (0.078, 0.507, 0.673)
Pr (0.850, 0.750, 0.796)
Co (0.937, 0.750, 0.010)
Sb (0.578, 0.007, 0.827)
Pr (0.623, 0.250, 0.303)
Pr (0.817, 0.466, 0.063)
Pr (0.817, 0.034, 0.063)
Pr (0.317, 0.965, 0.437)
Co (0.563, 0.750, 0.510)
Pr (0.457, 0.250, 0.997)
Pr (0.377, 0.750, 0.697)
Pr (0.043, 0.250, 0.497)
Sb (0.578, 0.493, 0.827)
Pr (0.123, 0.750, 0.197)

The lowest formation energy belongs to which entry?
Zr5Co19P12